The following is a DFT calculation (PBE) of Na2Al2Si3H6O13 after structural relaxation.

Properties
Its density is 2.19 g/cm³. The value obtained for the formation energy is -6216 kJ/mol of formula units. The calculation puts the total magnetization at 0.0 μB per formula unit.

Cell lengths 6.602, 19.339, 9.963 Å; angles 90.00, 108.25, 90.00 degrees
Space group Cc (No. 9)
Inequivalent atoms, fractional coordinates:
Na: 0.000 0.142 0.000 [4 per cell]
Na: 0.469 0.169 0.937 [4 per cell]
Al: 0.224 0.462 0.947 [4 per cell]
Al: 0.302 0.285 0.120 [4 per cell]
Si: 0.111 0.419 0.215 [4 per cell]
Si: 0.158 0.129 0.546 [4 per cell]
Si: 0.445 0.169 0.351 [4 per cell]
H: 0.076 0.008 0.141 [4 per cell]
H: 0.107 0.061 0.270 [4 per cell]
H: 0.218 0.271 0.635 [4 per cell]
H: 0.246 0.347 0.701 [4 per cell]
H: 0.274 0.064 0.840 [4 per cell]
H: 0.348 0.039 0.997 [4 per cell]
O: 0.046 0.199 0.582 [4 per cell]
O: 0.079 0.057 0.168 [4 per cell]
O: 0.091 0.273 0.961 [4 per cell]
O: 0.093 0.395 0.833 [4 per cell]
O: 0.109 0.469 0.085 [4 per cell]
O: 0.185 0.456 0.369 [4 per cell]
O: 0.253 0.143 0.416 [4 per cell]
O: 0.256 0.073 0.933 [4 per cell]
O: 0.259 0.350 0.231 [4 per cell]
O: 0.276 0.318 0.628 [4 per cell]
O: 0.334 0.203 0.195 [4 per cell]
O: 0.360 0.109 0.691 [4 per cell]
O: 0.496 0.437 0.012 [4 per cell]